Record 1
Compound: Rb2CuBiBr6
Source: the Materials Project
Functional: GGA-PBE
Structure: optimized geometry

Summary:
uncorrected energy = -3.03 eV/atom
magnetic moment = 0.00 Bohr magnetons per cell

CIF file:
```
data_Rb2CuBiBr6
_chemical_formula_sum 'Rb8 Cu4 Bi4 Br24'
_space_group_name_H-M_alt 'F m -3 m'
_space_group_IT_number 225
_space_group_name_Hall '-F 4 2 3'
_cell_length_a 11.0893
_cell_length_b 11.0893
_cell_length_c 11.0893
_cell_angle_alpha 90.00
_cell_angle_beta 90.00
_cell_angle_gamma 90.00
loop_
_atom_site_label
_atom_site_type_symbol
_atom_site_fract_x
_atom_site_fract_y
_atom_site_fract_z
Rb1 Rb 0.2500 0.2500 0.2500
Cu1 Cu 0.0000 0.0000 0.0000
Bi1 Bi 0.0000 0.0000 0.5000
Br1 Br 0.0000 0.0000 0.2397
```

---

Record 2
Compound: Ca2PN3
Source: the Materials Project
Functional: GGA-PBE
Structure: optimized geometry

Summary:
uncorrected energy = -6.85 eV/atom

CIF file:
```
data_Ca2PN3
_chemical_formula_sum 'Ca16 P8 N24'
_space_group_name_H-M_alt 'C m c e'
_space_group_IT_number 64
_space_group_name_Hall '-C 2ac 2'
_cell_length_a 5.2243
_cell_length_b 10.3876
_cell_length_c 11.3170
_cell_angle_alpha 90.00
_cell_angle_beta 90.00
_cell_angle_gamma 90.00
loop_
_atom_site_label
_atom_site_type_symbol
_atom_site_fract_x
_atom_site_fract_y
_atom_site_fract_z
Ca1 Ca 0.0000 0.0524 0.1420
Ca2 Ca 0.0000 0.1376 0.5741
P1 P 0.0000 0.2444 0.3347
N1 N 0.0000 0.0889 0.3596
N2 N 0.0000 0.1602 0.9493
N3 N 0.2500 0.2112 0.7500
```